(1)
This record from Materials Project describes a relaxed CeZnPt crystal. The functional is r²SCAN.

abc: 4.3053 8.1358 7.0696
angles: 90.00 90.01 90.00
Space group P2_1/c (No. 14)
Symmetry-distinct sites (fractional):
Ce  0.2488  0.1923  0.4641 x4
Zn  0.2499  0.5662  0.3552 x4
Pt  0.2504  0.6136  0.7379 x4

Summary:
**Formation enthalpy at 0 K**: -277.0 kJ/mol of formula units

(2)
This record from Materials Project describes a relaxed Tb5Ga3 crystal. The functional is r²SCAN.

abc: 7.6445 7.6445 14.1455
angles: 90.00 90.00 90.00
Space group I4/mcm (No. 140)
Symmetry-distinct sites (fractional):
Tb  0.0000  0.0000  0.0000 x4
Tb  0.1705  0.3295  0.1473 x16
Ga  0.0000  0.0000  0.2500 x4
Ga  0.1206  0.3794  0.5000 x8

Summary:
**Formation enthalpy at 0 K**: -453.6 kJ/mol of formula units

(3)
This record from Materials Project describes a relaxed SnTe3O8 crystal. The functional is r²SCAN.

abc: 11.2220 11.2220 11.2220
angles: 90.00 90.00 90.00
Space group Ia-3 (No. 206)
Symmetry-distinct sites (fractional):
Sn  0.2500  0.2500  0.2500 x8
Te  0.0000  0.2500  0.0459 x24
O  0.0837  0.0837  0.0837 x16
O  0.1109  0.1823  0.6522 x48

Summary:
**Formation enthalpy at 0 K**: -1520.4 kJ/mol of formula units

(4)
This record from Materials Project describes a relaxed MgIn crystal. The functional is r²SCAN.

abc: 3.2157 3.2157 4.3785
angles: 90.00 90.00 90.00
Space group P4/mmm (No. 123)
Symmetry-distinct sites (fractional):
Mg  0.0000  0.0000  0.0000 x1
In  0.5000  0.5000  0.5000 x1

Summary:
**Formation enthalpy at 0 K**: -27.3 kJ/mol of formula units

(5)
This record from Materials Project describes a relaxed Ho6Fe23 crystal. The functional is r²SCAN.

abc: 12.0334 12.0334 12.0334
angles: 90.00 90.00 90.00
Space group Fm-3m (No. 225)
Symmetry-distinct sites (fractional):
Ho  0.0000  0.0000  0.2101 x24
Fe  0.0000  0.0000  0.5000 x4
Fe  0.0000  0.2500  0.2500 x24
Fe  0.1222  0.1222  0.3778 x32
Fe  0.1757  0.1757  0.1757 x32

Summary:
**Formation enthalpy at 0 K**: -107.0 kJ/mol of formula units

(6)
This record from Materials Project describes a relaxed NbGaOs2 crystal. The functional is r²SCAN.

abc: 6.2253 6.2253 6.2253
angles: 90.00 90.00 90.00
Space group Fm-3m (No. 225)
Symmetry-distinct sites (fractional):
Nb  0.0000  0.0000  0.0000 x4
Ga  0.0000  0.0000  0.5000 x4
Os  0.2500  0.2500  0.2500 x8

Summary:
**Formation enthalpy at 0 K**: -117.7 kJ/mol of formula units

Number 1: calculated total energy -31.3699 eV per atom. Number 2: calculated total energy -24.3952 eV per atom. Number 3: calculated total energy -13.7113 eV per atom. Number 4: calculated total energy -13.5153 eV per atom. Number 5: calculated total energy -18.2726 eV per atom. Number 6: calculated total energy -35.8419 eV per atom.